Entry 1:
! Pr7O12 meta-GGA r2SCAN optimized geometry; values from VASP
! **Total magnetic moment**: 3.00 μB per cell
! **Formation enthalpy at 0 K**: -3.2204 eV/atom
&SYSTEM
  ibrav = 0, nat = 19, ntyp = 2
/
ATOMIC_SPECIES
Pr 140.91 Pr.upf
O 16.00 O.upf
CELL_PARAMETERS angstrom
5.2928 3.0558 3.2719
-5.2928 3.0558 3.2719
0.0000 -6.1116 3.2719
ATOMIC_POSITIONS angstrom
Pr 0.0000 0.0000 0.0000
Pr -2.4841 0.4552 3.4231
Pr 0.8478 -2.3789 3.4231
Pr -1.6363 -1.9237 6.3926
Pr 1.6363 1.9237 3.4231
Pr -0.8478 2.3789 6.3926
Pr 2.4841 -0.4552 6.3926
O -4.6301 1.0421 4.3125
O -3.2175 -3.4887 5.5033
O -1.3858 -1.6606 3.9192
O 1.4126 -4.5308 4.3125
O -2.1311 0.3698 5.8966
O -0.7452 2.0305 3.9191
O 0.7452 -2.0305 5.8966
O 2.1310 -0.3698 3.9191
O -1.4126 4.5308 5.5033
O 1.3858 1.6606 5.8966
O 3.2175 3.4887 4.3125
O 4.6301 -1.0421 5.5033

---

Entry 2:
! Ca2AlH10BrO8 meta-GGA r2SCAN optimized geometry; values from VASP
! **Total magnetic moment**: 0.00 μB per cell
! **Formation enthalpy at 0 K**: -1.7603 eV/atom
&SYSTEM
  ibrav = 0, nat = 44, ntyp = 5
/
ATOMIC_SPECIES
Ca 40.08 Ca.upf
Al 26.98 Al.upf
H 1.01 H.upf
Br 79.90 Br.upf
O 16.00 O.upf
CELL_PARAMETERS angstrom
5.7339 0.0000 0.0000
-2.8156 8.1980 0.0000
-0.0146 -2.3166 9.6821
ATOMIC_POSITIONS angstrom
Ca 0.0042 2.5573 3.8914
Ca 0.0149 4.4841 0.9372
Ca 2.8888 1.3973 8.7449
Ca 2.8995 3.3241 5.7907
Al 0.0328 2.3751 7.2708
Al 2.8709 3.5063 2.4113
H -2.5275 5.9224 7.3149
H -1.5349 4.0432 8.3438
H -1.5001 5.1099 3.8098
H -0.1353 0.1560 8.4903
H -1.9566 6.2272 5.9003
H -0.7989 7.3877 1.1008
H 1.5247 1.9135 0.9257
H 1.5775 0.7155 6.1505
H 0.2751 4.6091 6.0461
H -0.2275 7.0422 2.5046
H 3.1312 -1.1608 7.1775
H 2.6286 1.2723 3.6360
H 1.3262 5.1660 3.5316
H 1.3790 3.9679 8.7564
H 3.7026 -1.5063 8.5813
H 4.8603 -0.3457 3.7817
H 3.0390 5.7254 1.1918
H 4.4038 0.7716 5.8723
H 4.4386 1.8383 1.3383
H 5.4312 -0.0409 2.3672
Br 0.0000 0.0000 0.0000
Br 2.8596 -1.1583 4.8410
O -1.0055 1.6792 5.8262
O -0.1734 0.1450 3.3150
O -1.5700 3.2585 7.7835
O -0.5193 1.0403 8.5188
O 0.5863 3.6969 6.0059
O -0.0877 6.8963 1.5504
O 1.6267 1.4574 6.7663
O 1.0682 3.0549 8.7160
O 1.8356 2.8265 0.9661
O 1.2770 4.4240 2.9158
O 2.9914 -1.0149 8.1317
O 2.3175 2.1845 3.6762
O 3.4230 4.8412 1.1633
O 4.4737 2.6229 1.8985
O 3.0771 5.7365 6.3671
O 3.9092 4.2022 3.8559

---

Number 1: ρ 6.2 g/cm3. Number 2: ρ 2.4 g/cm3.